Record 1
{"formula": "Mg2AgRh", "functional": "meta-GGA r2SCAN", "state": "relaxed", "lattice_angstrom": [[0.0000, 3.1792, 3.1792], [3.1792, 0.0000, 3.1792], [3.1792, 3.1792, 0.0000]], "species": ["Mg", "Mg", "Ag", "Rh"], "fractional_positions": [[0.2500, 0.2500, 0.2500], [0.7500, 0.7500, 0.7500], [0.0000, 0.0000, 0.0000], [0.5000, 0.5000, 0.5000]]}

Record 2
{"formula": "K3BeF5", "functional": "meta-GGA r2SCAN", "state": "relaxed", "lattice_angstrom": [[-3.5376, 3.5376, 5.3480], [3.5376, -3.5376, 5.3480], [3.5376, 3.5376, -5.3480]], "species": ["K", "K", "K", "K", "K", "K", "Be", "Be", "F", "F", "F", "F", "F", "F", "F", "F", "F", "F"], "fractional_positions": [[0.1782, 0.6782, 0.8564], [0.2500, 0.2500, 0.0000], [0.3218, 0.1782, 0.5000], [0.6782, 0.8218, 0.5000], [0.7500, 0.7500, 0.0000], [0.8218, 0.3218, 0.1436], [0.2500, 0.7500, 0.5000], [0.7500, 0.2500, 0.5000], [0.0000, 0.0000, 0.0000], [0.0386, 0.7896, 0.5000], [0.2104, 0.7104, 0.2490], [0.2896, 0.5386, 0.5000], [0.4614, 0.9614, 0.7510], [0.5000, 0.5000, 0.0000], [0.5386, 0.0386, 0.2490], [0.7104, 0.4614, 0.5000], [0.7896, 0.2896, 0.7510], [0.9614, 0.2104, 0.5000]]}

Record 3
{"formula": "Lu2C", "functional": "meta-GGA r2SCAN", "state": "relaxed", "lattice_angstrom": [[1.7473, 1.0088, 5.8377], [-1.7473, 1.0088, 5.8377], [0.0000, -2.0176, 5.8377]], "species": ["Lu", "Lu", "C"], "fractional_positions": [[0.2408, 0.2408, 0.2408], [0.7592, 0.7592, 0.7592], [0.5000, 0.5000, 0.5000]]}

Record 4
{"formula": "MnPt", "functional": "meta-GGA r2SCAN", "state": "relaxed", "lattice_angstrom": [[3.4537, 0.0000, 0.0000], [0.0000, 4.1729, 0.0000], [0.0000, 0.0000, 4.1729]], "species": ["Pt", "Pt", "Mn", "Mn"], "fractional_positions": [[0.5000, 0.5000, 0.0000], [0.5000, 0.0000, 0.5000], [0.0000, 0.0000, 0.0000], [0.0000, 0.5000, 0.5000]]}

Record 5
{"formula": "Cs2RbNdCl6", "functional": "meta-GGA r2SCAN", "state": "relaxed", "lattice_angstrom": [[0.0000, 5.8123, 5.8123], [5.8123, 0.0000, 5.8123], [5.8123, 5.8123, 0.0000]], "species": ["Cs", "Cs", "Rb", "Nd", "Cl", "Cl", "Cl", "Cl", "Cl", "Cl"], "fractional_positions": [[0.2500, 0.2500, 0.2500], [0.7500, 0.7500, 0.7500], [0.0000, 0.0000, 0.0000], [0.5000, 0.5000, 0.5000], [0.2660, 0.2660, 0.7340], [0.2660, 0.7340, 0.2660], [0.2660, 0.7340, 0.7340], [0.7340, 0.2660, 0.2660], [0.7340, 0.2660, 0.7340], [0.7340, 0.7340, 0.2660]]}

Record 6
{"formula": "NdHSe", "functional": "meta-GGA r2SCAN", "state": "relaxed", "lattice_angstrom": [[4.0121, 0.0000, 0.0000], [-2.0061, 3.4746, 0.0000], [0.0000, 0.0000, 7.9980]], "species": ["Nd", "Nd", "H", "H", "Se", "Se"], "fractional_positions": [[0.3333, 0.6667, 0.2500], [0.6667, 0.3333, 0.7500], [0.3333, 0.6667, 0.7500], [0.6667, 0.3333, 0.2500], [0.0000, 0.0000, 0.0000], [0.0000, 0.0000, 0.5000]]}

no.,total magnetic moment (μB per cell),VASP energy (eV per atom),calculated volume (Å³/f.u.)
1,0.00,-13.812,64.3
2,0.00,-7.447,133.9
3,0.14,-29.245,61.7
4,9.07,-33.837,30.1
5,0.00,-15.393,392.7
6,0.00,-17.395,55.7